Record 1
VASP calculation (PBE) on a geometry-optimized Cr3N2 structure. Values from VASP.

Computed properties:
Volume (Å³/cell): 99.9
Space-group type: P6_3/mmc, No. 194
Offset from the most stable computed form (meV per atom): 349

Quantum ESPRESSO input file:
```
&SYSTEM
  ibrav = 0, nat = 10, ntyp = 2
/
ATOMIC_SPECIES
Cr 52.00 Cr.upf
N 14.01 N.upf
CELL_PARAMETERS angstrom
-1.441 2.592 0.768
-1.441 -2.690 0.267
4.171 -1.090 11.507
ATOMIC_POSITIONS angstrom
Cr 0.323 -1.390 5.299
Cr 0.967 0.202 7.243
Cr 2.408 -0.175 11.220
Cr -1.119 -1.014 1.322
Cr 1.043 -0.273 2.877
Cr 3.128 -0.818 8.630
N 2.086 -0.545 5.753
N 0.000 0.000 0.000
N -0.398 0.559 3.478
N 1.688 -1.747 9.064
```

=====

Record 2
VASP calculation (PBE) on a geometry-optimized Cr3N4 structure. Values from VASP.

Computed properties:
Volume (Å³/cell): 176.1
Space-group type: P6_3/m, No. 176
Offset from the most stable computed form (meV per atom): 28

Quantum ESPRESSO input file:
```
&SYSTEM
  ibrav = 0, nat = 14, ntyp = 2
/
ATOMIC_SPECIES
Cr 52.00 Cr.upf
N 14.01 N.upf
CELL_PARAMETERS angstrom
4.037 -6.993 0.000
4.037 6.993 0.000
0.000 0.000 3.119
ATOMIC_POSITIONS angstrom
Cr 5.710 1.554 2.339
Cr 2.528 1.270 2.339
Cr 3.873 4.168 2.339
Cr 2.364 -1.554 0.780
Cr 5.546 -1.270 0.780
Cr 4.201 -4.168 0.780
N 4.037 2.331 2.339
N 4.037 -2.331 0.780
N 5.551 -0.263 2.339
N 5.071 -4.675 2.339
N 1.490 -2.054 2.339
N 2.524 0.263 0.780
N 3.003 4.675 0.780
N 6.584 2.054 0.780
```

=====

Record 3
VASP calculation (PBE) on a geometry-optimized Cr3N2 structure. Values from VASP.

Computed properties:
Volume (Å³/cell): 135.9
Space-group type: C2/m, No. 12
Offset from the most stable computed form (meV per atom): 32

Quantum ESPRESSO input file:
```
&SYSTEM
  ibrav = 0, nat = 15, ntyp = 2
/
ATOMIC_SPECIES
Cr 52.00 Cr.upf
N 14.01 N.upf
CELL_PARAMETERS angstrom
2.551 -3.587 -5.270
4.648 -3.621 -3.526
-1.747 -7.099 1.964
ATOMIC_POSITIONS angstrom
Cr 5.823 -8.157 -7.159
Cr -0.371 -6.150 0.327
Cr 1.125 -1.568 -1.383
Cr 4.327 -12.739 -5.449
Cr 0.747 -4.205 -0.980
Cr 4.705 -10.103 -5.852
Cr 3.313 -6.334 -4.106
Cr 2.139 -7.973 -2.726
Cr 3.599 -3.604 -4.398
N 1.965 -6.064 -2.479
N 3.487 -8.244 -4.353
N 1.827 -3.173 -2.258
N 3.625 -11.134 -4.574
N -0.121 -1.406 0.119
N 5.573 -12.902 -6.951
```

=====

Record 4
VASP calculation (PBE) on a geometry-optimized Cr3N2 structure. Values from VASP.

Computed properties:
Volume (Å³/cell): 382.7
Space-group type: Ia-3, No. 206
Offset from the most stable computed form (meV per atom): 82

Quantum ESPRESSO input file:
```
&SYSTEM
  ibrav = 0, nat = 40, ntyp = 2
/
ATOMIC_SPECIES
Cr 52.00 Cr.upf
N 14.01 N.upf
CELL_PARAMETERS angstrom
7.590 2.176 -0.638
-0.837 -4.880 6.184
-2.245 -3.721 -6.623
ATOMIC_POSITIONS angstrom
Cr 4.292 -2.896 -0.442
Cr 3.555 -2.441 -4.171
Cr 1.682 -3.818 -5.257
Cr 4.832 -5.239 0.455
Cr 2.025 -4.165 -2.355
Cr -0.519 -5.975 -0.140
Cr -0.014 -6.284 2.356
Cr 4.440 -5.026 -2.454
Cr 1.964 -4.740 0.819
Cr 4.765 -2.702 2.447
Cr 6.471 -1.499 0.956
Cr 2.569 -6.611 -0.830
Cr 0.216 -3.529 -0.635
Cr 0.953 -3.983 3.094
Cr 2.826 -2.606 4.180
Cr -0.324 -1.186 -1.531
Cr 2.483 -2.259 1.279
Cr 5.027 -0.449 -0.936
Cr 4.521 -0.141 -3.433
Cr 0.067 -1.399 1.377
Cr 2.544 -1.684 -1.896
Cr -0.257 -3.723 -3.524
Cr -1.964 -4.926 -2.033
Cr 1.939 0.187 -0.247
N -1.541 -4.301 -0.220
N 2.672 -0.772 -3.630
N 3.376 -1.352 2.773
N 0.000 0.000 0.000
N 4.429 -3.802 4.069
N 0.783 -3.202 1.258
N 5.402 -1.716 -4.301
N 3.320 -1.180 -0.186
N -1.209 -6.769 -1.827
N 0.799 -2.604 -2.242
N 0.079 -2.623 -5.146
N 3.725 -3.223 -2.334
N -0.894 -4.708 3.224
N 1.188 -5.244 -0.891
N 5.717 0.345 0.751
N 3.709 -3.821 1.165
```

=====

Which value of offset from the most stable computed form does entry 1 give? 349 meV per atom